# 1
{"formula": "Li3V8O11", "functional": "GGA+U", "state": "optimized geometry", "lattice": [[2.1720, 4.7924, 0.0000], [-2.1720, 4.7924, 0.0000], [0.0000, 2.6489, 10.5741]], "species": ["Li", "Li", "Li", "V", "V", "V", "V", "V", "V", "V", "V", "O", "O", "O", "O", "O", "O", "O", "O", "O", "O", "O"], "fractional_positions": [[0.9147, 0.9147, 0.6335], [0.0853, 0.0853, 0.3665], [0.0000, 0.0000, 0.0000], [0.1825, 0.1825, 0.7242], [0.6320, 0.6320, 0.5378], [0.3680, 0.3680, 0.4622], [0.8175, 0.8175, 0.2758], [0.2732, 0.2732, 0.0938], [0.5443, 0.5443, 0.1786], [0.4557, 0.4557, 0.8214], [0.7268, 0.7268, 0.9062], [0.4136, 0.4136, 0.6409], [0.1480, 0.1480, 0.5404], [0.6689, 0.6689, 0.7273], [0.3311, 0.3311, 0.2727], [0.5864, 0.5864, 0.3591], [0.8520, 0.8520, 0.4596], [0.7611, 0.7611, 0.0945], [0.5000, 0.5000, 0.0000], [0.0449, 0.0449, 0.1801], [0.9551, 0.9551, 0.8199], [0.2389, 0.2389, 0.9055]], "relative_energy_mev_per_atom": 0, "sg": "C2/m, No. 12"}

---

# 2
{"formula": "Li3VO12", "functional": "GGA+U", "state": "optimized geometry", "lattice": [[5.6834, 0.0000, 0.0000], [-0.9932, 5.8844, 0.0000], [-0.8533, -1.0435, 6.3412]], "species": ["Li", "Li", "Li", "V", "O", "O", "O", "O", "O", "O", "O", "O", "O", "O", "O", "O"], "fractional_positions": [[0.9835, 0.4137, 0.3993], [0.4057, 0.9397, 0.4765], [0.6168, 0.7536, 0.0098], [0.1581, 0.2835, 0.9155], [0.0566, 0.3155, 0.6697], [0.9040, 0.2506, 0.0869], [0.3191, 0.5306, 0.0532], [0.3840, 0.0596, 0.9479], [0.4637, 0.9370, 0.7951], [0.0628, 0.7533, 0.4018], [0.9417, 0.0281, 0.0138], [0.5959, 0.4373, 0.7815], [0.4705, 0.2755, 0.4407], [0.6737, 0.8050, 0.3386], [0.8947, 0.8818, 0.4564], [0.5788, 0.4621, 0.5807]], "sg": "P1, No. 1"}

---

# 3
{"formula": "Li2VO3", "functional": "GGA+U", "state": "optimized geometry", "lattice": [[-3.5277, 4.6684, 0.7352], [-2.5874, -1.1209, -5.2964], [-2.5671, -4.4277, 3.9706]], "species": ["Li", "Li", "Li", "Li", "Li", "Li", "Li", "Li", "V", "V", "V", "V", "O", "O", "O", "O", "O", "O", "O", "O", "O", "O", "O", "O"], "fractional_positions": [[0.8333, 0.3333, 0.3333], [0.3334, 0.3333, 0.3333], [0.8333, 0.8333, 0.3333], [0.3334, 0.8333, 0.3333], [0.0015, 0.4948, 0.0060], [0.5015, 0.4948, 0.0060], [0.1652, 0.1719, 0.6607], [0.6652, 0.1718, 0.6607], [0.0047, 0.0120, 0.0194], [0.1619, 0.6546, 0.6472], [0.5047, 0.0121, 0.0194], [0.6619, 0.6545, 0.6473], [0.7491, 0.2266, 0.9964], [0.2491, 0.2267, 0.9964], [0.9175, 0.4400, 0.6702], [0.4176, 0.4400, 0.6703], [0.9206, 0.8987, 0.6818], [0.4206, 0.8987, 0.6818], [0.2460, 0.7679, 0.9848], [0.7461, 0.7680, 0.9848], [0.0894, 0.5933, 0.3577], [0.5894, 0.5933, 0.3577], [0.0773, 0.0734, 0.3090], [0.5773, 0.0733, 0.3089]]}

---

# 4
{"formula": "Li2V18O39", "functional": "GGA+U", "state": "optimized geometry", "lattice": [[0.2176, 1.3214, -3.4956], [9.6673, -5.8081, 0.4081], [-11.9705, -11.6824, -5.1670]], "species": ["Li", "Li", "V", "V", "V", "V", "V", "V", "V", "V", "V", "V", "V", "V", "V", "V", "V", "V", "V", "V", "O", "O", "O", "O", "O", "O", "O", "O", "O", "O", "O", "O", "O", "O", "O", "O", "O", "O", "O", "O", "O", "O", "O", "O", "O", "O", "O", "O", "O", "O", "O", "O", "O", "O", "O", "O", "O", "O", "O"], "fractional_positions": [[0.2715, 0.5246, 0.6594], [0.7379, 0.4739, 0.3400], [0.1976, 0.4031, 0.4492], [0.3638, 0.7236, 0.3453], [0.7950, 0.5972, 0.5509], [0.8961, 0.7615, 0.7623], [0.5556, 0.1056, 0.1003], [0.6919, 0.3834, 0.0217], [0.9368, 0.8689, 0.4721], [0.5907, 0.1776, 0.8241], [0.1368, 0.2404, 0.2387], [0.9793, 0.9566, 0.3088], [0.4125, 0.8223, 0.1750], [0.2610, 0.5208, 0.1518], [0.0233, 0.0437, 0.6905], [0.4479, 0.8981, 0.9027], [0.6395, 0.2764, 0.6543], [0.3097, 0.6166, 0.9778], [0.0731, 0.1310, 0.5273], [0.7428, 0.4794, 0.8480], [0.3740, 0.7477, 0.9458], [0.8645, 0.7269, 0.5188], [0.2028, 0.4035, 0.1966], [0.9946, 0.9865, 0.5715], [0.9370, 0.8719, 0.8758], [0.0854, 0.1682, 0.7958], [0.6071, 0.2224, 0.2135], [0.2458, 0.4864, 0.8747], [0.3898, 0.7804, 0.7878], [0.4237, 0.8443, 0.4542], [0.4742, 0.9483, 0.1387], [0.1364, 0.2734, 0.4813], [0.8173, 0.6577, 0.6661], [0.9171, 0.8322, 0.2034], [0.8902, 0.7765, 0.3544], [0.7083, 0.4149, 0.6319], [0.0482, 0.0941, 0.2824], [0.0084, 0.0135, 0.4278], [0.6555, 0.3074, 0.9071], [0.1131, 0.2236, 0.6451], [0.3295, 0.6573, 0.2301], [0.5252, 0.0501, 0.8591], [0.4515, 0.9009, 0.2969], [0.5513, 0.0998, 0.7022], [0.2213, 0.4420, 0.0326], [0.4993, 0.9966, 0.9967], [0.5794, 0.1559, 0.5454], [0.6246, 0.2521, 0.0531], [0.9574, 0.9064, 0.7168], [0.6734, 0.3428, 0.7697], [0.3471, 0.6914, 0.0923], [0.7270, 0.4592, 0.4515], [0.2973, 0.5858, 0.3683], [0.1612, 0.3447, 0.3351], [0.8034, 0.5968, 0.8036], [0.2681, 0.5413, 0.5487], [0.7570, 0.5134, 0.1253], [0.7806, 0.5581, 0.9671], [0.0612, 0.1254, 0.1210]], "relative_energy_mev_per_atom": 0, "sg": "P1, No. 1"}

---

# 5
{"formula": "Li2V6O15", "functional": "GGA+U", "state": "optimized geometry", "lattice": [[2.3870, 2.7840, -0.4409], [0.0550, -1.2456, 7.9049], [6.8293, -6.5001, -4.0723]], "species": ["Li", "Li", "V", "V", "V", "V", "V", "V", "O", "O", "O", "O", "O", "O", "O", "O", "O", "O", "O", "O", "O", "O", "O"], "fractional_positions": [[0.5472, 0.0944, 0.3358], [0.4528, 0.9056, 0.6642], [0.1135, 0.2269, 0.1152], [0.8865, 0.7731, 0.8848], [0.3316, 0.6632, 0.0929], [0.6684, 0.3368, 0.9071], [0.2850, 0.5701, 0.4062], [0.7150, 0.4299, 0.5938], [0.0000, 0.0000, 0.0000], [0.8102, 0.6204, 0.0419], [0.1898, 0.3796, 0.9581], [0.6314, 0.2628, 0.0801], [0.3686, 0.7372, 0.9199], [0.4293, 0.8585, 0.2128], [0.5707, 0.1415, 0.7872], [0.2573, 0.5146, 0.2249], [0.7427, 0.4854, 0.7751], [0.0961, 0.1923, 0.2689], [0.9039, 0.8077, 0.7311], [0.2451, 0.4901, 0.5743], [0.7549, 0.5099, 0.4257], [0.3949, 0.7898, 0.4669], [0.6051, 0.2102, 0.5331]], "relative_energy_mev_per_atom": 0, "sg": "C2/m, No. 12"}

---

# 6
{"formula": "Li2V3O8", "functional": "GGA+U", "state": "optimized geometry", "lattice": [[-6.9188, -0.3469, -4.5988], [-2.1289, -7.1747, 3.7441], [-4.1326, 4.3015, 5.8929]], "species": ["Li", "Li", "Li", "Li", "Li", "Li", "Li", "Li", "V", "V", "V", "V", "V", "V", "V", "V", "V", "V", "V", "V", "O", "O", "O", "O", "O", "O", "O", "O", "O", "O", "O", "O", "O", "O", "O", "O", "O", "O", "O", "O", "O", "O", "O", "O", "O", "O", "O", "O", "O", "O", "O", "O"], "fractional_positions": [[0.7500, 0.7499, 0.7538], [0.7500, 0.2501, 0.2538], [0.4976, 0.5009, 0.4957], [0.5024, 0.0009, 0.0043], [0.2500, 0.2499, 0.7462], [0.2500, 0.7501, 0.2462], [0.9976, 0.9991, 0.5043], [0.0024, 0.4991, 0.9957], [0.6242, 0.1232, 0.6170], [0.6354, 0.6111, 0.1250], [0.6442, 0.8673, 0.3836], [0.3646, 0.1111, 0.3750], [0.3558, 0.3673, 0.1164], [0.3758, 0.6232, 0.8830], [0.1442, 0.6327, 0.6164], [0.1242, 0.3768, 0.3830], [0.1354, 0.8889, 0.8750], [0.8646, 0.3889, 0.6250], [0.8758, 0.8768, 0.1170], [0.8558, 0.1327, 0.8836], [0.6072, 0.6562, 0.3515], [0.6553, 0.3657, 0.6133], [0.6168, 0.1075, 0.3837], [0.5951, 0.6407, 0.8995], [0.6345, 0.8858, 0.5941], [0.6080, 0.4061, 0.1420], [0.6464, 0.1162, 0.8544], [0.6422, 0.8638, 0.1361], [0.3536, 0.6162, 0.6456], [0.3578, 0.3638, 0.3639], [0.4049, 0.1407, 0.6005], [0.3920, 0.9061, 0.3580], [0.3832, 0.6075, 0.1163], [0.3654, 0.3858, 0.9059], [0.3928, 0.1562, 0.1485], [0.3447, 0.8657, 0.8867], [0.1168, 0.3925, 0.6163], [0.1346, 0.6142, 0.4059], [0.1553, 0.1343, 0.3867], [0.1464, 0.3838, 0.1456], [0.1072, 0.8438, 0.6485], [0.0951, 0.8593, 0.1005], [0.1422, 0.6362, 0.8639], [0.1080, 0.0939, 0.8580], [0.8920, 0.5939, 0.6420], [0.8578, 0.1362, 0.6361], [0.9049, 0.3593, 0.3995], [0.8447, 0.6343, 0.1133], [0.8654, 0.1142, 0.0941], [0.8536, 0.8838, 0.3544], [0.8928, 0.3438, 0.8515], [0.8832, 0.8925, 0.8837]], "relative_energy_mev_per_atom": 0, "sg": "P2_12_12_1, No. 19"}

---

# 7
{"formula": "LiV6O13", "functional": "GGA+U", "state": "optimized geometry", "lattice": [[1.8811, 11.2192, 0.0000], [-1.8811, 11.2192, 0.0000], [0.0000, 4.2277, 11.2414]], "species": ["Li", "Li", "V", "V", "V", "V", "V", "V", "V", "V", "V", "V", "V", "V", "O", "O", "O", "O", "O", "O", "O", "O", "O", "O", "O", "O", "O", "O", "O", "O", "O", "O", "O", "O", "O", "O", "O", "O", "O", "O"], "fractional_positions": [[0.8153, 0.8153, 0.7598], [0.1847, 0.1847, 0.2402], [0.7750, 0.7750, 0.0745], [0.2250, 0.2250, 0.9255], [0.2480, 0.2480, 0.6047], [0.7520, 0.7520, 0.3953], [0.9482, 0.9482, 0.9635], [0.0518, 0.0518, 0.0365], [0.4293, 0.4293, 0.4831], [0.5707, 0.5707, 0.5169], [0.9273, 0.9273, 0.2870], [0.0727, 0.0727, 0.7130], [0.4358, 0.4358, 0.7740], [0.5642, 0.5642, 0.2260], [0.7529, 0.7529, 0.9271], [0.2471, 0.2471, 0.0729], [0.2485, 0.2485, 0.4375], [0.7515, 0.7515, 0.5625], [0.9388, 0.9388, 0.4434], [0.0612, 0.0612, 0.5566], [0.4469, 0.4469, 0.9337], [0.5531, 0.5531, 0.0663], [0.9578, 0.9578, 0.7869], [0.0422, 0.0422, 0.2131], [0.4495, 0.4495, 0.3041], [0.5505, 0.5505, 0.6959], [0.7491, 0.7491, 0.2484], [0.2509, 0.2509, 0.7516], [0.8552, 0.8552, 0.0264], [0.1448, 0.1448, 0.9736], [0.3493, 0.3493, 0.5479], [0.6507, 0.6507, 0.4521], [0.8469, 0.8469, 0.3278], [0.1531, 0.1531, 0.6722], [0.3565, 0.3565, 0.8063], [0.6435, 0.6435, 0.1937], [0.9557, 0.9557, 0.1101], [0.0443, 0.0443, 0.8899], [0.4581, 0.4581, 0.6019], [0.5419, 0.5419, 0.3981]], "relative_energy_mev_per_atom": 4, "sg": "C2/m, No. 12"}

---

# 8
{"formula": "LiV3O6", "functional": "GGA+U", "state": "optimized geometry", "lattice": [[-1.0251, -4.1719, 2.7658], [0.1157, -0.4145, -5.0911], [4.5128, -2.6321, -0.6034]], "species": ["Li", "V", "V", "V", "O", "O", "O", "O", "O", "O"], "fractional_positions": [[0.5000, 0.5000, 0.5000], [0.3387, 0.6613, 0.0000], [0.0000, 0.0000, 0.0000], [0.6613, 0.3387, 0.0000], [0.2620, 0.2620, 0.2167], [0.9227, 0.6028, 0.2015], [0.6028, 0.9227, 0.2015], [0.0773, 0.3972, 0.7985], [0.7380, 0.7380, 0.7833], [0.3972, 0.0773, 0.7985]], "relative_energy_mev_per_atom": 91, "sg": "C2/m, No. 12"}

---

Number 1: energy of formation -2.243 eV/atom. Number 2: energy of formation -0.776 eV/atom. Number 3: energy of formation -2.476 eV/atom. Number 4: energy of formation -2.408 eV/atom. Number 5: energy of formation -2.370 eV/atom. Number 6: energy of formation -2.402 eV/atom. Number 7: energy of formation -2.412 eV/atom. Number 8: energy of formation -2.392 eV/atom.